# 1
Density functional theory data (PBE) for a relaxed structure of Na6CaZrSi6O18.

Summary:
The size of the total moment is 0.01 μB per cell. Its energy with MP2020 corrections is -0.54426 Ry/atom. As for the density: 2.9 Mg/m³. The calculation puts the formation enthalpy at 0 K at -3.027 eV/atom. The raw total energy comes out at -1347.56 eV/cell.

a = 10.4628 Å, b = 10.4628 Å, c = 26.6072 Å
α = 90.00°, β = 90.00°, γ = 120.00°
Space group R3c (No. 161, hexagonal axes)
One atom of each set of equivalent atoms:
Na (0.0636, 0.5265, 0.0000) x18
Na (0.1761, 0.3592, 0.5750) x18
Ca (0.0000, 0.0000, 0.1141) x6
Zr (0.0000, 0.0000, 0.4867) x6
Si (0.0295, 0.5143, 0.3728) x18
Si (0.1814, 0.3669, 0.4409) x18
O (0.9996, 0.2497, 0.2400) x18
O (0.0720, 0.4048, 0.4058) x18
O (0.0897, 0.1863, 0.9412) x18
O (0.1078, 0.5499, 0.3187) x18
O (0.1816, 0.0857, 0.5399) x18
O (0.2161, 0.4422, 0.4946) x18

# 2
Density functional theory data (PBE) for a relaxed structure of BaMgBi2O5.

Summary:
The size of the total moment is 0.00 μB per cell. Its energy with MP2020 corrections is -0.41483 Ry/atom. As for the density: 6.3 Mg/m³. The calculation puts the formation enthalpy at 0 K at -1.640 eV/atom. Its distance to the lowest polymorph of the same formula is 0.000 kcal/mol of atoms. The raw total energy comes out at -47.36 eV/cell.

a = 4.3029 Å, b = 4.3029 Å, c = 9.4501 Å
α = 90.00°, β = 90.00°, γ = 90.00°
Space group P4/mmm (No. 123)
One atom of each set of equivalent atoms:
Ba (0.0000, 0.0000, 0.0000) x1
Mg (0.0000, 0.0000, 0.5000) x1
Bi (0.5000, 0.5000, 0.2590) x2
O (0.0000, 0.5000, 0.1893) x4
O (0.5000, 0.5000, 0.5000) x1

# 3
Density functional theory data (PBE) for a relaxed structure of Cd3Se4.

Summary:
The size of the total moment is 0.00 μB per cell. Its energy with MP2020 corrections is -0.21022 Ry/atom. As for the density: 4.0 Mg/m³. The calculation puts the formation enthalpy at 0 K at -0.467 eV/atom. Its distance to the lowest polymorph of the same formula is 2.743 kcal/mol of atoms. The raw total energy comes out at -145.06 eV/cell.

a = 23.3460 Å, b = 9.8436 Å, c = 10.7226 Å
α = 90.00°, β = 117.28°, γ = 90.00°
Space group Cm (No. 8)
One atom of each set of equivalent atoms:
Cd (0.0000, 0.1805, 0.0000) x4
Cd (0.1399, 0.2068, 0.9493) x4
Cd (0.1628, 0.1901, 0.5067) x4
Cd (0.3004, 0.3154, 0.9236) x4
Cd (0.3420, 0.2114, 0.5507) x4
Cd (0.4743, 0.1913, 0.4886) x4
Se (0.0404, 0.3629, 0.8844) x4
Se (0.0463, 0.0000, 0.8773) x2
Se (0.0922, 0.0000, 0.3475) x2
Se (0.0942, 0.3753, 0.5811) x4
Se (0.2196, 0.5000, 0.9104) x2
Se (0.2575, 0.1248, 0.0683) x4
Se (0.2824, 0.1769, 0.6956) x4
Se (0.3811, 0.0000, 0.4383) x2
Se (0.3817, 0.3649, 0.4128) x4
Se (0.4262, 0.3764, 0.1152) x4

# 4
Density functional theory data (PBE) for a relaxed structure of NaLaInSbO6.

Summary:
Its energy with MP2020 corrections is -0.48708 Ry/atom. As for the density: 6.0 Mg/m³. The calculation puts the formation enthalpy at 0 K at -2.344 eV/atom. The raw total energy comes out at -248.60 eV/cell.

a = 8.1673 Å, b = 8.1673 Å, c = 8.1673 Å
α = 90.00°, β = 90.00°, γ = 90.00°
Space group F-43m (No. 216)
One atom of each set of equivalent atoms:
Na (0.0000, 0.0000, 0.0000) x4
La (0.0000, 0.0000, 0.5000) x4
In (0.2500, 0.2500, 0.2500) x4
Sb (0.2500, 0.2500, 0.7500) x4
O (0.0085, 0.2500, 0.7500) x24

# 5
Density functional theory data (PBE) for a relaxed structure of Cs3ScBr6.

Summary:
The size of the total moment is 0.00 μB per cell. Its energy with MP2020 corrections is -0.29250 Ry/atom. As for the density: 3.4 Mg/m³. The calculation puts the formation enthalpy at 0 K at -2.096 eV/atom. The raw total energy comes out at -146.37 eV/cell.

a = 12.1541 Å, b = 12.1541 Å, c = 12.1541 Å
α = 90.00°, β = 90.00°, γ = 90.00°
Space group Fm-3m (No. 225)
One atom of each set of equivalent atoms:
Cs (0.0000, 0.0000, 0.0000) x4
Cs (0.2500, 0.2500, 0.2500) x8
Sc (0.0000, 0.0000, 0.5000) x4
Br (0.0000, 0.0000, 0.2808) x24

# 6
Density functional theory data (PBE) for a relaxed structure of TiCrAgS4.

Summary:
The size of the total moment is 6.00 μB per cell. Its energy with MP2020 corrections is -0.46883 Ry/atom. As for the density: 4.2 Mg/m³. The calculation puts the formation enthalpy at 0 K at -1.103 eV/atom. Its distance to the lowest polymorph of the same formula is 0.075 kcal/mol of atoms. The raw total energy comes out at -85.28 eV/cell.

a = 14.0313 Å, b = 3.4821 Å, c = 5.9589 Å
α = 90.00°, β = 114.08°, γ = 90.00°
Space group Cm (No. 8)
One atom of each set of equivalent atoms:
Ti (0.0000, 0.0000, 0.0000) x2
Cr (0.4971, 0.0000, 0.4495) x2
Ag (0.2497, 0.5000, 0.7234) x2
S (0.0982, 0.0000, 0.7225) x2
S (0.1137, 0.5000, 0.2428) x2
S (0.3850, 0.5000, 0.1977) x2
S (0.3979, 0.0000, 0.6972) x2